Crystalline LiNbP4O12 at its relaxed geometry, computed with PBE-GGA.

Unit cell a=7.4212 b=7.4542 c=10.0258 alpha=98.95 beta=109.08 gamma=110.05
With the nearest neighbours (Å) after each atom.
Space group P-1 (No. 2)
Unique sites:
Li1 0.2224 0.4786 0.2518  2 O 1.96-1.98
Nb1 0.0000 0.0000 0.0000  6 O 2.12-2.21
Nb2 0.0000 0.5000 0.5000  6 O 2.11-2.22
P1 0.0039 0.8163 0.3064  4 O 1.50-1.61
P2 0.2695 0.2278 0.5226  4 O 1.47-1.63
P3 0.2959 0.7571 0.0258  4 O 1.47-1.63
P4 0.4907 0.8028 0.8058  4 O 1.50-1.61
O1 0.0390 0.6305 0.3209  1 P 1.51
O2 0.0464 0.1509 0.8428  1 P 1.50
O3 0.1180 0.7994 0.9268  1 P 1.53
O4 0.1326 0.3110 0.4268  1 P 1.52
O5 0.1893 0.1868 0.6528  2 P 1.61-1.63
O6 0.2095 0.0023 0.4308  2 P 1.60-1.62
O7 0.2471 0.5934 0.0917  1 P 1.47
O8 0.3053 0.6969 0.6595  1 P 1.50
O9 0.3074 0.2130 0.1794  1 P 1.50
O10 0.4297 0.7242 0.9329  2 P 1.61-1.62
O11 0.4678 0.9659 0.1556  2 P 1.60-1.63
O12 0.4997 0.3386 0.5882  1 P 1.47

Values from the calculation:
Total magnetization, μB per cell: 4.00
Energy of formation, eV per atom: -2.59
Uncorrected energy, eV per formula unit: -131.47